Below is a relaxed structure of UBRh3, with properties calculated at the PBE level.

```
UBRh3
1.0
-2.581 -1.175 3.144
3.255 -1.841 1.985
0.816 3.627 2.026
U B Rh
1 1 3
Direct
0.000 0.000 0.000
0.500 0.500 0.500
0.000 0.500 0.500
0.500 0.500 0.000
0.500 0.000 0.500
```

Output
mass density	12.20	g/cm³
SG	Pm-3m, No. 221
size of the total moment	0.410	μB per atom
ΔH_f (0 K)	-52.4	kJ/mol of atoms



Below is a relaxed structure of YU2B12Rh12, with properties calculated at the PBE level.

```
YU2B12Rh12
1.0
-1.514 3.770 -3.459
0.789 -3.392 -4.042
-21.333 -7.001 1.709
B Y Rh U
24 2 24 4
Direct
0.000 0.667 0.451
0.500 0.831 0.717
0.831 0.500 0.283
0.000 0.667 0.118
0.667 0.000 0.882
0.667 0.000 0.549
0.169 0.500 0.617
0.833 0.500 0.951
0.500 0.169 0.383
0.500 0.833 0.049
0.500 0.167 0.049
0.500 0.831 0.383
0.000 0.333 0.784
0.167 0.500 0.951
0.333 0.000 0.549
0.000 0.667 0.784
0.169 0.500 0.283
0.500 0.169 0.717
0.667 0.000 0.216
0.000 0.333 0.451
0.333 0.000 0.216
0.333 0.000 0.882
0.831 0.500 0.617
0.000 0.333 0.118
0.000 0.000 0.333
0.000 0.000 0.667
0.752 0.500 0.050
0.250 0.500 0.716
0.248 0.500 0.050
0.500 0.750 0.617
0.500 0.752 0.950
0.500 0.250 0.284
0.250 0.500 0.383
0.000 0.748 0.883
0.000 0.748 0.215
0.252 0.000 0.785
0.748 0.000 0.785
0.748 0.000 0.117
0.500 0.750 0.284
0.500 0.248 0.950
0.500 0.250 0.617
0.750 0.500 0.716
0.000 0.747 0.549
0.747 0.000 0.451
0.000 0.252 0.883
0.253 0.000 0.451
0.000 0.253 0.549
0.252 0.000 0.117
0.000 0.252 0.215
0.750 0.500 0.383
0.500 0.500 0.833
0.500 0.500 0.167
0.000 0.000 0.000
0.500 0.500 0.500
```

Output
mass density	10.00	g/cm³
SG	P-4m2, No. 115
size of the total moment	0.110	μB per atom
ΔH_f (0 K)	-45.3	kJ/mol of atoms



Below is a relaxed structure of VZn10B8Rh18, with properties calculated at the PBE level.

```
VZn10B8Rh18
1.0
-4.261 17.249 -2.508
-9.735 -0.214 15.072
2.324 0.794 1.512
B Rh Zn V
16 36 20 2
Direct
0.626 0.670 0.000
0.665 0.961 0.000
0.670 0.374 0.000
0.835 0.461 0.000
0.374 0.330 0.000
0.165 0.539 0.000
0.170 0.126 0.000
0.126 0.830 0.000
0.539 0.835 0.000
0.335 0.039 0.000
0.039 0.665 0.000
0.461 0.165 0.000
0.961 0.335 0.000
0.330 0.626 0.000
0.830 0.874 0.000
0.874 0.170 0.000
0.659 0.289 0.500
0.826 0.547 0.500
0.246 0.587 0.500
0.587 0.754 0.500
0.674 0.047 0.500
0.341 0.711 0.500
0.159 0.211 0.500
0.841 0.789 0.500
0.087 0.746 0.500
0.547 0.174 0.500
0.402 0.566 0.500
0.066 0.902 0.500
0.789 0.159 0.500
0.418 0.082 0.500
0.434 0.402 0.500
0.754 0.413 0.500
0.211 0.841 0.500
0.582 0.918 0.500
0.953 0.674 0.500
0.566 0.598 0.500
0.934 0.098 0.500
0.746 0.913 0.500
0.174 0.453 0.500
0.598 0.434 0.500
0.098 0.066 0.500
0.453 0.826 0.500
0.254 0.087 0.500
0.326 0.953 0.500
0.047 0.326 0.500
0.711 0.659 0.500
0.902 0.934 0.500
0.289 0.341 0.500
0.913 0.254 0.500
0.413 0.246 0.500
0.082 0.582 0.500
0.918 0.418 0.500
0.968 0.811 0.000
0.669 0.169 0.000
0.450 0.950 0.000
0.050 0.450 0.000
0.791 0.291 0.000
0.811 0.032 0.000
0.689 0.532 0.000
0.311 0.468 0.000
0.532 0.311 0.000
0.831 0.669 0.000
0.032 0.189 0.000
0.550 0.050 0.000
0.291 0.209 0.000
0.331 0.831 0.000
0.709 0.791 0.000
0.189 0.968 0.000
0.209 0.709 0.000
0.169 0.331 0.000
0.950 0.550 0.000
0.468 0.689 0.000
0.500 0.500 0.000
0.000 0.000 0.000
```

Output
mass density	9.46	g/cm³
SG	P4/mbm, No. 127
size of the total moment	0.011	μB per atom
ΔH_f (0 K)	-39.4	kJ/mol of atoms



Below is a relaxed structure of YBRh3, with properties calculated at the PBE level.

```
YBRh3
1.0
-2.474 -3.165 -1.273
-0.771 -1.013 4.017
-3.323 2.591 0.015
Rh Y B
3 1 1
Direct
0.500 0.000 0.500
0.000 0.500 0.500
0.500 0.500 0.000
0.000 0.000 0.000
0.500 0.500 0.500
```

Output
mass density	9.06	g/cm³
SG	Pm-3m, No. 221
ΔH_f (0 K)	-74.7	kJ/mol of atoms